1.
Below is a geometry-optimized HoSiPt structure, with properties calculated at the GGA-PBE level.

Properties
Space-group type: No. 62
Total DFT energy (no corrections): -6.558 eV/atom

POSCAR file:
```
HoSiPt
1.0
6.975 0.000 0.000
0.000 4.308 0.000
0.000 0.000 7.418
Ho Si Pt
4 4 4
direct
0.005 0.250 0.202 Ho
0.495 0.750 0.702 Ho
0.505 0.250 0.298 Ho
0.995 0.750 0.798 Ho
0.188 0.250 0.590 Si
0.312 0.750 0.090 Si
0.688 0.250 0.910 Si
0.812 0.750 0.410 Si
0.198 0.750 0.418 Pt
0.302 0.250 0.918 Pt
0.698 0.750 0.082 Pt
0.802 0.250 0.582 Pt
```


2.
Below is a geometry-optimized HoSi2Pt2 structure, with properties calculated at the GGA-PBE level.

Properties
Space-group type: No. 139
Magnetic moment: 0.00 μB per formula unit
Total DFT energy (no corrections): -6.534 eV/atom

POSCAR file:
```
HoSi2Pt2
1.0
-2.094 2.094 4.927
2.094 -2.094 4.927
2.094 2.094 -4.927
Ho Si Pt
1 2 2
direct
0.000 0.000 0.000 Ho
0.383 0.383 0.000 Si
0.617 0.617 0.000 Si
0.250 0.750 0.500 Pt
0.750 0.250 0.500 Pt
```


3.
Below is a geometry-optimized Ho3Si11Pt23 structure, with properties calculated at the GGA-PBE level.

Properties
Space-group type: No. 225
Total DFT energy (no corrections): -6.620 eV/atom

POSCAR file:
```
Ho3Si11Pt23
1.0
0.000 8.496 8.496
8.496 0.000 8.496
8.496 8.496 0.000
Ho Si Pt
6 22 46
direct
0.000 0.000 0.500 Ho
0.000 0.500 0.000 Ho
0.000 0.500 0.500 Ho
0.500 0.000 0.000 Ho
0.500 0.000 0.500 Ho
0.500 0.500 0.000 Ho
0.165 0.165 0.165 Si
0.165 0.165 0.505 Si
0.165 0.505 0.165 Si
0.172 0.172 0.828 Si
0.172 0.828 0.172 Si
0.172 0.828 0.828 Si
0.180 0.607 0.607 Si
0.393 0.393 0.393 Si
0.393 0.393 0.820 Si
0.393 0.820 0.393 Si
0.495 0.835 0.835 Si
0.505 0.165 0.165 Si
0.607 0.180 0.607 Si
0.607 0.607 0.180 Si
0.607 0.607 0.607 Si
0.820 0.393 0.393 Si
0.828 0.172 0.172 Si
0.828 0.172 0.828 Si
0.828 0.828 0.172 Si
0.835 0.495 0.835 Si
0.835 0.835 0.495 Si
0.835 0.835 0.835 Si
0.076 0.308 0.308 Pt
0.082 0.422 0.748 Pt
0.082 0.748 0.422 Pt
0.082 0.748 0.748 Pt
0.083 0.083 0.083 Pt
0.083 0.083 0.752 Pt
0.083 0.752 0.083 Pt
0.248 0.917 0.917 Pt
0.252 0.252 0.578 Pt
0.252 0.252 0.918 Pt
0.252 0.578 0.252 Pt
0.252 0.578 0.918 Pt
0.252 0.918 0.252 Pt
0.252 0.918 0.578 Pt
0.308 0.076 0.308 Pt
0.308 0.308 0.076 Pt
0.308 0.308 0.308 Pt
0.375 0.375 0.625 Pt
0.375 0.625 0.375 Pt
0.375 0.625 0.625 Pt
0.422 0.082 0.748 Pt
0.422 0.748 0.082 Pt
0.422 0.748 0.748 Pt
0.578 0.252 0.252 Pt
0.578 0.252 0.918 Pt
0.578 0.918 0.252 Pt
0.625 0.375 0.375 Pt
0.625 0.375 0.625 Pt
0.625 0.625 0.375 Pt
0.692 0.692 0.692 Pt
0.692 0.692 0.924 Pt
0.692 0.924 0.692 Pt
0.748 0.082 0.422 Pt
0.748 0.082 0.748 Pt
0.748 0.422 0.082 Pt
0.748 0.422 0.748 Pt
0.748 0.748 0.082 Pt
0.748 0.748 0.422 Pt
0.752 0.083 0.083 Pt
0.917 0.248 0.917 Pt
0.917 0.917 0.248 Pt
0.917 0.917 0.917 Pt
0.918 0.252 0.252 Pt
0.918 0.252 0.578 Pt
0.918 0.578 0.252 Pt
0.924 0.692 0.692 Pt
```


4.
Below is a geometry-optimized HoSi2Pt2 structure, with properties calculated at the GGA-PBE level.

Properties
Space-group type: No. 129
Total DFT energy (no corrections): -6.591 eV/atom

POSCAR file:
```
HoSi2Pt2
1.0
4.193 0.000 0.000
0.000 4.193 0.000
0.000 0.000 9.866
Ho Si Pt
2 4 4
direct
0.250 0.250 0.247 Ho
0.750 0.750 0.753 Ho
0.250 0.250 0.634 Si
0.250 0.750 0.000 Si
0.750 0.250 0.000 Si
0.750 0.750 0.366 Si
0.250 0.250 0.876 Pt
0.250 0.750 0.500 Pt
0.750 0.250 0.500 Pt
0.750 0.750 0.124 Pt
```


5.
Below is a geometry-optimized HoSnPt structure, with properties calculated at the GGA-PBE level.

Properties
Space-group type: No. 189
Total DFT energy (no corrections): -5.977 eV/atom

POSCAR file:
```
HoSnPt
1.0
7.509 0.000 0.000
-3.755 6.503 0.000
0.000 0.000 4.016
Ho Sn Pt
3 3 3
direct
0.000 0.595 0.000 Ho
0.405 0.405 0.000 Ho
0.595 0.000 0.000 Ho
0.000 0.260 0.500 Sn
0.260 0.000 0.500 Sn
0.740 0.740 0.500 Sn
0.000 0.000 0.000 Pt
0.333 0.667 0.500 Pt
0.667 0.333 0.500 Pt
```


6.
Below is a geometry-optimized Ho2ZnPt structure, with properties calculated at the GGA-PBE level.

Properties
Space-group type: No. 225
Magnetic moment: 0.00 μB per formula unit
Total DFT energy (no corrections): -4.932 eV/atom

POSCAR file:
```
Ho2ZnPt
1.0
0.000 3.508 3.508
3.508 0.000 3.508
3.508 3.508 0.000
Ho Zn Pt
2 1 1
direct
0.250 0.250 0.250 Ho
0.750 0.750 0.750 Ho
0.000 0.000 0.000 Zn
0.500 0.500 0.500 Pt
```


7.
Below is a geometry-optimized Ho3Pu structure, with properties calculated at the GGA-PBE level.

Properties
Space-group type: No. 221
Magnetic moment: 0.15 μB per formula unit
Total DFT energy (no corrections): -6.351 eV/atom

POSCAR file:
```
Ho3Pu
1.0
4.957 0.000 0.000
0.000 4.957 0.000
0.000 0.000 4.957
Ho Pu
3 1
direct
0.000 0.000 0.500 Ho
0.000 0.500 0.000 Ho
0.500 0.000 0.000 Ho
0.500 0.500 0.500 Pu
```


8.
Below is a geometry-optimized HoPu3 structure, with properties calculated at the GGA-PBE level.

Properties
Space-group type: No. 194
Magnetic moment: 18.22 μB per formula unit
Total DFT energy (no corrections): -11.655 eV/atom

POSCAR file:
```
HoPu3
1.0
6.906 0.000 0.000
-3.453 5.981 0.000
0.000 0.000 5.568
Ho Pu
2 6
direct
0.333 0.667 0.250 Ho
0.667 0.333 0.750 Ho
0.164 0.328 0.750 Pu
0.164 0.836 0.750 Pu
0.328 0.164 0.250 Pu
0.672 0.836 0.750 Pu
0.836 0.164 0.250 Pu
0.836 0.672 0.250 Pu
```